Record 1
The following is a r²SCAN calculation of a relaxed KO2 crystal, from the Materials Project.

SG ... I4/mmm, No. 139
Distance to the lowest polymorph of the same formula ... 0.017 eV/atom

Unit cell a=3.8548 b=3.8548 c=4.2895 alpha=116.70 beta=116.70 gamma=90.00
Positions (direct):
O (0.3986, 0.3986, 0.7971)
K (0.0000, 0.0000, 0.0000)
O (0.6014, 0.6014, 0.2029)



Record 2
The following is a r²SCAN calculation of a relaxed Eu3As4 crystal, from the Materials Project.

SG ... Fdd2, No. 43

Unit cell a=5.8057 b=7.8948 c=9.1725 alpha=83.32 beta=71.55 gamma=68.42
Positions (direct):
As (0.3299, 0.3219, 0.5065)
As (0.6946, 0.3320, 0.8367)
As (0.4020, 0.1781, 0.0065)
As (0.8628, 0.6677, 0.1634)
As (0.2808, 0.8323, 0.6631)
Eu (0.4468, 0.4939, 0.1681)
As (0.1585, 0.6779, 0.4934)
Eu (0.6908, 0.0062, 0.6681)
As (0.7763, 0.1675, 0.3369)
Eu (0.3649, 0.9940, 0.3319)
As (0.5867, 0.8221, 0.9934)
Eu (0.7464, 0.5000, 0.5000)
Eu (0.9965, 0.0000, 0.0000)
Eu (0.1089, 0.5063, 0.8319)



Record 3
The following is a r²SCAN calculation of a relaxed Ac2CuSi crystal, from the Materials Project.

SG ... Fm-3m, No. 225

Unit cell a=5.4163 b=5.4163 c=5.4163 alpha=60.00 beta=60.00 gamma=60.00
Positions (direct):
Si (0.7500, 0.7500, 0.7500)
Cu (0.2500, 0.2500, 0.2500)
Ac (0.0000, 0.0000, 0.0000)
Ac (0.5000, 0.5000, 0.5000)



Record 4
The following is a r²SCAN calculation of a relaxed Ca5Ir crystal, from the Materials Project.

SG ... Pnma, No. 62

Unit cell a=6.7858 b=7.6603 c=15.7629 alpha=90.00 beta=90.00 gamma=90.00
Positions (direct):
Ca (0.1415, 0.8067, 0.4331)
Ca (0.1415, 0.8067, 0.0669)
Ca (0.8585, 0.1933, 0.5669)
Ca (0.6774, 0.9665, 0.3540)
Ca (0.8226, 0.4664, 0.3540)
Ca (0.1539, 0.0924, 0.2500)
Ca (0.6539, 0.4076, 0.7500)
Ca (0.6415, 0.6933, 0.5669)
Ca (0.1774, 0.5336, 0.6460)
Ir (0.4656, 0.7387, 0.7500)
Ir (0.5344, 0.2613, 0.2500)
Ir (0.9656, 0.7613, 0.2500)
Ca (0.3226, 0.0335, 0.6460)
Ca (0.6415, 0.6933, 0.9331)
Ir (0.0344, 0.2387, 0.7500)
Ca (0.8226, 0.4664, 0.1460)
Ca (0.6774, 0.9665, 0.1460)
Ca (0.8585, 0.1933, 0.9331)
Ca (0.3226, 0.0335, 0.8540)
Ca (0.1774, 0.5336, 0.8540)
Ca (0.8461, 0.9076, 0.7500)
Ca (0.3585, 0.3067, 0.4331)
Ca (0.3585, 0.3067, 0.0669)
Ca (0.3461, 0.5924, 0.2500)



Record 5
The following is a r²SCAN calculation of a relaxed Ti3N2O3 crystal, from the Materials Project.

SG ... Cmcm, No. 63
Distance to the lowest polymorph of the same formula ... 0.004 eV/atom

Unit cell a=5.2386 b=5.2386 c=9.8403 alpha=90.00 beta=90.00 gamma=137.16
Positions (direct):
O (0.0450, 0.9550, 0.8818)
Ti (0.1434, 0.8566, 0.4467)
O (0.2486, 0.7514, 0.2500)
N (0.3077, 0.6923, 0.9229)
Ti (0.1434, 0.8566, 0.0533)
Ti (0.8008, 0.1992, 0.2500)
O (0.0450, 0.9550, 0.6182)
Ti (0.8566, 0.1434, 0.5533)
O (0.7514, 0.2486, 0.7500)
N (0.6923, 0.3077, 0.0771)
Ti (0.8566, 0.1434, 0.9467)
Ti (0.1992, 0.8008, 0.7500)
N (0.6923, 0.3077, 0.4229)
O (0.9550, 0.0450, 0.1182)
O (0.9550, 0.0450, 0.3818)
N (0.3077, 0.6923, 0.5771)



Record 6
The following is a r²SCAN calculation of a relaxed PrAl10Ru2 crystal, from the Materials Project.

SG ... Cmcm, No. 63

Unit cell a=6.8498 b=6.8498 c=9.1482 alpha=90.00 beta=90.00 gamma=97.00
Positions (direct):
Al (0.1624, 0.8376, 0.8983)
Ru (0.5000, 0.0000, 0.0000)
Ru (0.0000, 0.5000, 0.0000)
Al (0.5177, 0.7794, 0.7500)
Al (0.7709, 0.7709, 0.0000)
Pr (0.8769, 0.1231, 0.7500)
Al (0.3776, 0.6224, 0.4488)
Al (0.8620, 0.5920, 0.7500)
Al (0.5920, 0.8620, 0.2500)
Al (0.2291, 0.2291, 0.5000)
Al (0.7709, 0.7709, 0.5000)
Al (0.7794, 0.5177, 0.2500)
Al (0.1380, 0.4080, 0.2500)
Ru (0.0000, 0.5000, 0.5000)
Al (0.6224, 0.3776, 0.5512)
Al (0.6224, 0.3776, 0.9488)
Al (0.4823, 0.2206, 0.2500)
Ru (0.5000, 0.0000, 0.5000)
Al (0.2291, 0.2291, 0.0000)
Al (0.4080, 0.1380, 0.7500)
Al (0.2206, 0.4823, 0.7500)
Al (0.3776, 0.6224, 0.0512)
Pr (0.1231, 0.8769, 0.2500)
Al (0.8376, 0.1624, 0.3983)
Al (0.8376, 0.1624, 0.1017)
Al (0.1624, 0.8376, 0.6017)



Record 7
The following is a r²SCAN calculation of a relaxed Si crystal, from the Materials Project.

SG ... P6/mmm, No. 191
Distance to the lowest polymorph of the same formula ... 0.110 eV/atom

Unit cell a=10.1711 b=10.1711 c=10.3464 alpha=90.00 beta=90.00 gamma=120.00
Positions (direct):
Si (0.5000, 0.2577, 0.0000)
Si (0.7424, 0.7424, 0.0000)
Si (0.5000, 0.8805, 0.8132)
Si (0.5000, 0.1195, 0.1868)
Si (0.2905, 0.0811, 0.3124)
Si (0.6326, 0.7651, 0.5000)
Si (0.8332, 0.1668, 0.3878)
Si (0.7651, 0.6326, 0.5000)
Si (0.5000, 0.1195, 0.8132)
Si (0.2907, 0.7093, 0.3124)
Si (0.7423, 0.5000, 0.0000)
Si (0.8805, 0.8805, 0.1868)
Si (0.3674, 0.2349, 0.5000)
Si (0.1668, 0.8332, 0.6122)
Si (0.7095, 0.9189, 0.6876)
Si (0.2577, 0.5000, 0.0000)
Si (0.2349, 0.3674, 0.5000)
Si (0.9189, 0.7095, 0.3124)
Si (0.9189, 0.7095, 0.6876)
Si (0.1195, 0.1195, 0.1868)
Si (0.8805, 0.8805, 0.8132)
Si (0.7093, 0.2907, 0.3124)
Si (0.3677, 0.6323, 0.5000)
Si (0.0811, 0.2905, 0.3124)
Si (0.2905, 0.0811, 0.6876)
Si (0.1668, 0.8332, 0.3878)
Si (0.8332, 0.1668, 0.6122)
Si (0.7093, 0.2907, 0.6876)
Si (0.8805, 0.5000, 0.8132)
Si (0.6323, 0.3677, 0.5000)
Si (0.7095, 0.9189, 0.3124)
Si (0.2576, 0.2576, 0.0000)
Si (0.1195, 0.5000, 0.8132)
Si (0.0811, 0.2905, 0.6876)
Si (0.1195, 0.1195, 0.8132)
Si (0.2907, 0.7093, 0.6876)
Si (0.5000, 0.7423, 0.0000)
Si (0.5000, 0.8805, 0.1868)
Si (0.8805, 0.5000, 0.1868)
Si (0.1195, 0.5000, 0.1868)



Record 8
The following is a r²SCAN calculation of a relaxed Sc3B5O12 crystal, from the Materials Project.

SG ... Pmna, No. 53

Unit cell a=4.4399 b=12.2282 c=12.4620 alpha=90.00 beta=90.00 gamma=90.00
Positions (direct):
B (0.5000, 0.0000, 0.8377)
O (0.6652, 0.9219, 0.9033)
B (0.5322, 0.6456, 0.0000)
B (0.4606, 0.3691, 0.5000)
Sc (0.0123, 0.3046, 0.3642)
O (0.6780, 0.2500, 0.2500)
B (0.5424, 0.1498, 0.7022)
Sc (0.9877, 0.8046, 0.8642)
Sc (0.9877, 0.8046, 0.1358)
B (0.5424, 0.1498, 0.2978)
B (0.4576, 0.6498, 0.7978)
B (0.5322, 0.8544, 0.5000)
Sc (0.0123, 0.3046, 0.6358)
O (0.7792, 0.8470, 0.2964)
B (0.4576, 0.8502, 0.7022)
B (0.5394, 0.8691, 0.0000)
O (0.2966, 0.5626, 0.2669)
B (0.5000, 0.0000, 0.1623)
O (0.7747, 0.3549, 0.5000)
O (0.7034, 0.4374, 0.2669)
O (0.3348, 0.4219, 0.5967)
O (0.6717, 0.3578, 0.9055)
O (0.2966, 0.5626, 0.7331)
O (0.3220, 0.7500, 0.2500)
O (0.3348, 0.0781, 0.9033)
O (0.7792, 0.6530, 0.7964)
O (0.2391, 0.0639, 0.5000)
O (0.7034, 0.0626, 0.7669)
O (0.6717, 0.1422, 0.5945)
O (0.7792, 0.8470, 0.7036)
O (0.7034, 0.4374, 0.7331)
O (0.3283, 0.6422, 0.9055)
O (0.2208, 0.3470, 0.2036)
Sc (0.0000, 0.0000, 0.6301)
O (0.2208, 0.1530, 0.2964)
O (0.2966, 0.9374, 0.7669)
O (0.7609, 0.5639, 0.0000)
O (0.3000, 0.2573, 0.5000)
O (0.2253, 0.6451, 0.5000)
O (0.2208, 0.3470, 0.7964)
B (0.5000, 0.5000, 0.6623)
O (0.7000, 0.7427, 0.5000)
B (0.5424, 0.3502, 0.7978)
Sc (0.9877, 0.6954, 0.3642)
O (0.7747, 0.1451, 0.0000)
O (0.2966, 0.9374, 0.2331)
Sc (0.0000, 0.0000, 0.3699)
O (0.3283, 0.6422, 0.0945)
O (0.7792, 0.6530, 0.2036)
B (0.4678, 0.1456, 0.5000)
O (0.3283, 0.8578, 0.4055)
O (0.3283, 0.8578, 0.5945)
B (0.4576, 0.8502, 0.2978)
O (0.6652, 0.9219, 0.0967)
Sc (0.9877, 0.6954, 0.6358)
O (0.3220, 0.7500, 0.7500)
O (0.7000, 0.7573, 0.0000)
O (0.6717, 0.1422, 0.4055)
O (0.3348, 0.4219, 0.4033)
Sc (0.0000, 0.5000, 0.1301)
O (0.2391, 0.4361, 0.0000)
Sc (0.0000, 0.5000, 0.8699)
B (0.5394, 0.6309, 0.5000)
O (0.6780, 0.2500, 0.7500)
Sc (0.0123, 0.1954, 0.1358)
O (0.7034, 0.0626, 0.2331)
O (0.7609, 0.9361, 0.5000)
B (0.5000, 0.5000, 0.3377)
O (0.6652, 0.5781, 0.4033)
B (0.4576, 0.6498, 0.2022)
O (0.2208, 0.1530, 0.7036)
O (0.6652, 0.5781, 0.5967)
B (0.4678, 0.3544, 0.0000)
O (0.2253, 0.8549, 0.0000)
O (0.3348, 0.0781, 0.0967)
B (0.5424, 0.3502, 0.2022)
O (0.6717, 0.3578, 0.0945)
O (0.3000, 0.2427, 0.0000)
B (0.4606, 0.1309, 0.0000)
Sc (0.0123, 0.1954, 0.8642)



Computed E_form (eV per atom) in order:
-0.94; -1.20; -0.27; -0.24; -2.60; -0.56; 0.11; -3.11
Computed DFT total energy (eV/atom) in order:
-6.925; -26.111; -39.495; -14.829; -11.972; -11.914; -8.663; -10.244
Computed magnetization (μB/f.u.) in order:
1.00; 20.99; 0.00; 0.00; 0.00; 0.00; 0.00; 0.00